Entry 1:
A geometry-optimized BaSrEuWO6 structure, computed with GGA+U.

Cell: 6.0005 6.0005 8.7523 Å, 90.00 90.00 90.00°
Positions (direct):
Ba1 0.0000 0.5000 0.2500
Ba2 0.5000 0.0000 0.7500
Sr1 0.0000 0.5000 0.7500
Sr2 0.5000 0.0000 0.2500
Eu1 0.0000 0.0000 0.0000
Eu2 0.5000 0.5000 0.5000
W1 0.0000 0.0000 0.5000
W2 0.5000 0.5000 0.0000
O1 0.0000 0.0000 0.2724
O2 0.0000 0.0000 0.7276
O3 0.1623 0.2858 0.5118
O4 0.2142 0.3377 0.9882
O5 0.2858 0.8377 0.4882
O6 0.3377 0.7858 0.0118
O7 0.5000 0.5000 0.2276
O8 0.5000 0.5000 0.7724
O9 0.6623 0.2142 0.0118
O10 0.7142 0.1623 0.4882
O11 0.7858 0.6623 0.9882
O12 0.8377 0.7142 0.5118

Output
Crystal system ... tetragonal
MP2020-corrected energy ... -8.610 eV per atom
Volume ... 15.8 Å³ per atom
Polymorph energy (0 for the lowest one) ... 0.006 eV/atom
Raw total energy ... -155.082 eV for the cell shown

***

Entry 2:
A geometry-optimized BaEuV4O12 structure, computed with GGA+U.

Cell: 5.3568 5.3568 7.5808 Å, 90.00 90.00 90.00°
Positions (direct):
Ba1 0.0000 0.0000 0.0000
Eu1 0.5000 0.5000 0.5000
V1 0.0000 0.5000 0.2501
V2 0.0000 0.5000 0.7499
V3 0.5000 0.0000 0.2501
V4 0.5000 0.0000 0.7499
O1 0.0000 0.5000 0.0000
O2 0.0000 0.5000 0.5000
O3 0.2559 0.2559 0.2568
O4 0.2559 0.2559 0.7432
O5 0.2559 0.7441 0.2568
O6 0.2559 0.7441 0.7432
O7 0.5000 0.0000 0.0000
O8 0.5000 0.0000 0.5000
O9 0.7441 0.2559 0.2568
O10 0.7441 0.2559 0.7432
O11 0.7441 0.7441 0.2568
O12 0.7441 0.7441 0.7432

Output
Crystal system ... tetragonal
MP2020-corrected energy ... -8.506 eV per atom
Volume ... 12.1 Å³ per atom
Raw total energy ... -138.072 eV for the cell shown